1.
Computed, not measured: a geometry-optimized CdN structure at the PBE level of DFT.

Unit cell a=3.3677 b=3.3677 c=3.3677 alpha=60.00 beta=60.00 gamma=60.00
Element x y z (fractional)
N  0.5000  0.5000  0.5000
Cd  0.0000  0.0000  0.0000

## Properties
Energy of formation from the pure elements = 0.860 eV per atom
DFT total energy = -3.59 eV/atom


2.
Computed, not measured: a geometry-optimized KMnTe2 structure at the PBE level of DFT.

Unit cell a=7.7767 b=7.7767 c=7.7767 alpha=147.58 beta=147.58 gamma=46.51
Element x y z (fractional)
Mn  0.7500  0.2500  0.5000
Te  0.3554  0.3554  0.0000
Te  0.6446  0.6446  0.0000
K  0.0000  0.0000  0.0000

## Properties
Energy of formation from the pure elements = -0.675 eV per atom
DFT total energy = -4.60 eV/atom


3.
Computed, not measured: a geometry-optimized MgSi structure at the PBE level of DFT.

Unit cell a=6.2672 b=6.2672 c=5.9002 alpha=90.00 beta=90.00 gamma=139.51
Element x y z (fractional)
Mg  0.0579  0.9421  0.7500
Mg  0.9421  0.0579  0.2500
Mg  0.7842  0.2158  0.7500
Mg  0.2158  0.7842  0.2500
Si  0.4034  0.5966  0.9532
Si  0.4034  0.5966  0.5468
Si  0.5966  0.4034  0.0468
Si  0.5966  0.4034  0.4532

## Properties
Energy of formation from the pure elements = 0.033 eV per atom
DFT total energy = -3.52 eV/atom


> Look up the energy of formation from the pure elements of the third one.

0.033 eV per atom


> energy of formation from the pure elements of number 1 (CdN)?

0.860 eV per atom


> What is the formula in the second record?

KMnTe2


> Number 1 is which compound?

CdN